# 1
Entry from the Materials Project database: a relaxed structure of NbCr3Cu2S8 (GGA-PBE).

Cell and atoms, written as POSCAR:
```
NbCr3Cu2S8
1.0
5.9661 -3.5545 0.0000
5.9661 3.5545 0.0000
-3.8604 0.0000 5.7872
Nb Cr Cu S
1 3 2 8
direct
0.0000 0.0000 0.0000
0.0298 0.4645 0.0039
0.0295 0.9705 0.5000
0.5355 0.9702 0.9961
0.3870 0.3588 0.6228
0.6412 0.6130 0.3772
0.2507 0.7256 0.2421
0.2677 0.2146 0.7600
0.2744 0.7493 0.7579
0.2841 0.2102 0.2316
0.7768 0.2189 0.2576
0.7811 0.2232 0.7424
0.7854 0.7323 0.2400
0.7898 0.7159 0.7684
```

Calculated values
* total energy after the MP2020 corrections: -6.7117 eV per atom
* energy above the most stable polymorph in this dataset: 5 kJ/mol of formula units

# 2
Entry from the Materials Project database: a relaxed structure of NbCr3Cu2S8 (GGA-PBE).

Cell and atoms, written as POSCAR:
```
NbCr3Cu2S8
1.0
3.4188 0.0000 0.0000
0.0000 11.4422 0.0000
0.0000 0.0000 12.0912
Nb Cr Cu S
2 6 4 16
direct
0.0000 0.1023 0.0000
0.5000 0.8977 0.5000
0.0000 0.1413 0.3583
0.0000 0.6024 0.0828
0.0000 0.6331 0.7165
0.5000 0.3669 0.2165
0.5000 0.3976 0.5828
0.5000 0.8587 0.8583
0.0000 0.3777 0.8505
0.0000 0.8636 0.2164
0.5000 0.1364 0.7164
0.5000 0.6223 0.3505
0.0000 0.0495 0.5379
0.0000 0.2236 0.1695
0.0000 0.2801 0.6740
0.0000 0.5018 0.2579
0.0000 0.5349 0.5396
0.0000 0.7182 0.9031
0.0000 0.7782 0.4051
0.0000 0.9992 0.8092
0.5000 0.0008 0.3092
0.5000 0.2218 0.9051
0.5000 0.2818 0.4031
0.5000 0.4651 0.0396
0.5000 0.4982 0.7579
0.5000 0.7199 0.1740
0.5000 0.7764 0.6695
0.5000 0.9505 0.0379
```

Calculated values
* total energy after the MP2020 corrections: -6.5140 eV per atom
* energy above the most stable polymorph in this dataset: 272 kJ/mol of formula units

# 3
Entry from the Materials Project database: a relaxed structure of NbCr3Cu2S8 (GGA-PBE).

Cell and atoms, written as POSCAR:
```
NbCr3Cu2S8
1.0
7.0001 0.0000 0.0000
0.0000 11.8589 0.0000
-0.1772 0.0000 11.4072
Nb Cr Cu S
4 12 8 32
direct
0.1058 0.0000 0.1247
0.3873 0.3514 0.5826
0.6127 0.8514 0.4174
0.8942 0.5000 0.8753
0.1092 0.6267 0.6581
0.1239 0.5042 0.3735
0.1331 0.1307 0.8499
0.3689 0.6491 0.1430
0.3844 0.1481 0.3590
0.3863 0.8656 0.8865
0.6137 0.3656 0.1135
0.6156 0.6481 0.6410
0.6311 0.1491 0.8570
0.8669 0.6307 0.1501
0.8761 0.0042 0.6265
0.8908 0.1267 0.3419
0.1228 0.3559 0.0966
0.1263 0.8571 0.3835
0.3776 0.9919 0.6250
0.3864 0.4936 0.8716
0.6136 0.9936 0.1284
0.6224 0.4919 0.3750
0.8737 0.3571 0.6165
0.8772 0.8559 0.9034
0.1113 0.5578 0.0280
0.1144 0.3146 0.4651
0.1168 0.0425 0.4786
0.1230 0.6856 0.2806
0.1227 0.9519 0.7646
0.1333 0.4458 0.7416
0.1388 0.1900 0.2167
0.1625 0.8149 0.0327
0.3494 0.5562 0.5242
0.3742 0.0509 0.9752
0.3736 0.6843 0.7858
0.3750 0.8099 0.5445
0.3759 0.4663 0.2344
0.3777 0.9622 0.2751
0.3792 0.3211 0.9719
0.3802 0.1929 0.7154
0.6198 0.6929 0.2846
0.6208 0.8211 0.0281
0.6223 0.4622 0.7249
0.6241 0.9663 0.7656
0.6250 0.3099 0.4555
0.6264 0.1843 0.2142
0.6258 0.5509 0.0248
0.6506 0.0562 0.4758
0.8375 0.3149 0.9673
0.8612 0.6900 0.7833
0.8667 0.9458 0.2584
0.8770 0.1856 0.7194
0.8773 0.4519 0.2354
0.8832 0.5425 0.5214
0.8856 0.8146 0.5349
0.8887 0.0578 0.9720
```

Calculated values
* total energy after the MP2020 corrections: -6.4626 eV per atom
* energy above the most stable polymorph in this dataset: 341 kJ/mol of formula units

total energy after the MP2020 corrections of number 1 (NbCr3Cu2S8)? -6.7117 eV per atom

energy above the most stable polymorph in this dataset of number 2 (NbCr3Cu2S8)? 272 kJ/mol of formula units

Which formula does entry 3 have? NbCr3Cu2S8